Crystalline EuMoO4F at its relaxed geometry. Source: the Materials Project, functional PBE+U.

Unit cell a=5.403 b=12.724 c=6.880 alpha=90.00 beta=113.45 gamma=90.00
Space group P2_1/c (No. 14)
Inequivalent atoms, fractional coordinates:
Eu  0.136  0.056  0.296 [4 per cell]
Mo  0.416  0.141  0.864 [4 per cell]
O  0.202  0.064  0.965 [4 per cell]
O  0.273  0.653  0.415 [4 per cell]
O  0.305  0.228  0.290 [4 per cell]
O  0.500  0.070  0.665 [4 per cell]
F  0.022  0.599  0.946 [4 per cell]

Output
Crystal system: monoclinic
Volume in Å³/cell: 433.9
Calculated formation energy in eV per atom: -2.66